Computed, not measured: a relaxed Ba6MgP6O21 crystal at the PBE level of DFT.

M_tot   0.000 μB/atom
Distance to the lowest polymorph of the same formula   20 meV/atom
Density   3.9 Mg/m³

extended XYZ file:
```
34
Lattice="-1.353 -6.861 -2.010 -1.565 2.923 -8.925 9.050 -2.677 3.046" Properties=species:S:1:pos:R:3 pbc="T T T"
O -0.097 -3.766 -5.445
O 3.371 -5.910 -1.428
O 4.869 -2.446 -2.901
O 7.330 -3.673 2.145
O 5.323 -0.669 -1.299
O 1.434 -0.315 -6.907
O 2.968 -1.080 -5.027
O -0.026 -5.229 -2.547
O 2.305 -4.442 -6.012
O 1.580 1.089 -4.779
O 0.436 -1.059 -4.652
O 4.004 -2.700 -0.487
O 5.823 -6.320 -1.969
O 6.538 -7.689 0.968
O 0.802 -3.520 -7.846
O 6.486 -2.958 -0.984
O 0.717 -1.455 -1.441
O 6.519 -5.485 -6.075
O 7.262 -1.712 -4.970
O 7.951 -5.982 1.898
O 4.335 -5.153 -3.694
P 1.620 -0.436 -5.390
P 0.862 -4.282 -6.516
P 5.163 -2.300 -1.409
P 6.995 -1.645 -6.480
P 4.404 -6.146 -2.536
P 6.401 -4.657 -7.362
Ba -0.437 0.863 -2.653
Ba 2.060 -3.270 -3.396
Ba 5.282 0.164 -4.115
Ba 7.211 -4.273 -3.436
Ba 0.884 2.199 -8.100
Ba 3.764 -2.283 -7.908
Mg 0.666 -1.367 -8.951
```